# MgP4Br12O4

A geometry-optimized MgP4Br12O4 structure (GGA-PBE, Materials Project).

```
21
Lattice="6.3663 0.0000 0.0000 1.6457 10.9026 0.0000 0.0446 0.0867 11.3865" Properties=species:S:1:pos:R:3 pbc="T T T"
Mg 0.0000 0.0000 0.0000
P 0.3762 1.5477 5.6946
P 2.8992 6.9346 5.6993
P 4.6113 10.5030 0.0194
P 5.5860 5.4954 0.0135
Br 0.7718 3.9188 0.0015
Br 1.6427 7.3724 7.4477
Br 1.6350 7.3396 3.9477
Br 2.6816 8.6946 11.3093
Br 1.7230 1.8606 7.4213
Br 1.7125 1.8214 3.9548
Br 4.4094 8.5311 5.6829
Br 4.3433 5.0059 1.7597
Br 4.4005 5.1289 9.6351
Br 4.6745 0.5233 9.5613
Br 4.6827 0.4506 1.8497
Br 5.4327 3.3050 5.6823
O 1.8979 0.6913 0.0289
O 3.4684 5.5722 5.7109
O 6.1270 6.8649 0.0312
O 6.0447 0.2503 5.7106
```

Summary:
VASP energy in eV/atom: -3.866
Total moment in μB/atom: 0.000

---

# MgP4Br12O4

A geometry-optimized MgP4Br12O4 structure (GGA-PBE, Materials Project).

```
21
Lattice="7.1072 0.0000 0.0000 1.4670 10.0310 0.0000 0.0281 0.0060 11.1752" Properties=species:S:1:pos:R:3 pbc="T T T"
Mg 0.0000 0.0000 0.0000
P 1.4557 3.1584 11.1649
P 4.2140 7.9601 11.1729
P 4.5187 1.9411 5.5985
P 7.3272 6.9514 5.5870
Br 1.6266 5.2635 5.5739
Br 2.4554 8.5420 9.3347
Br 2.4513 8.5550 1.8459
Br 2.6285 3.6080 1.7417
Br 2.6463 3.6146 9.4065
Br 2.9989 0.3540 5.5855
Br 4.7571 0.5646 0.0097
Br 6.0036 6.6045 3.8537
Br 6.0191 6.5896 7.3294
Br 5.7774 1.5416 3.8433
Br 5.7859 1.5025 7.3374
Br 6.8945 4.5578 11.1721
O 1.0033 1.7363 11.1642
O 3.9465 3.3039 5.6153
O 4.3964 6.4870 0.0077
O 7.9782 8.2743 5.5903
```

Summary:
VASP energy in eV/atom: -3.879
Total moment in μB/atom: 0.000

---

# MgTe4Pb6Br4O12

A geometry-optimized MgTe4Pb6Br4O12 structure (GGA-PBE, Materials Project).

```
27
Lattice="5.8851 0.0000 0.0000 2.5332 8.7842 0.0000 0.4508 2.7453 11.8649" Properties=species:S:1:pos:R:3 pbc="T T T"
Mg 0.0000 0.0000 0.0000
Te 1.8101 6.4774 4.2900
Te 1.9307 2.5067 6.3059
Te 4.5089 7.6651 10.0699
Te 4.3863 2.2956 0.0762
Pb 1.6071 5.9329 8.7772
Pb 1.7999 2.9671 2.0903
Pb 4.3422 7.7106 6.4945
Pb 4.7870 7.6951 2.2380
Pb 4.6099 1.2711 3.9062
Pb 7.4417 9.9553 8.2593
Br 2.0122 2.5616 9.9357
Br 4.6876 4.5903 3.2849
Br 4.9078 4.1869 7.3983
Br 7.4243 6.5708 0.5057
O 2.0206 6.6055 6.1530
O 3.1357 9.9110 6.5226
O 3.0399 7.8824 3.8654
O 3.1077 7.9347 8.6428
O 1.8615 2.6389 4.4494
O 3.5270 6.0117 10.3425
O 3.0283 1.0455 2.2390
O 5.8796 9.9804 6.3783
O 5.8089 7.7033 8.6282
O 6.2022 7.6857 4.0903
O 6.0192 6.3178 10.9233
O 6.0023 1.5159 1.2453
```

Summary:
VASP energy in eV/atom: -4.889
Total moment in μB/atom: 0.000

---

# MgTe4Pb6Br4O12

A geometry-optimized MgTe4Pb6Br4O12 structure (GGA-PBE, Materials Project).

```
27
Lattice="9.0403 -2.9217 0.0000 9.0403 2.9217 0.0000 -3.3610 0.0000 10.8556" Properties=species:S:1:pos:R:3 pbc="T T T"
Mg 0.0000 0.0000 0.0000
Te 5.7672 1.9672 4.8687
Te 8.9525 1.9672 5.9869
Te 3.5696 -0.8244 9.9798
Te 11.1501 -0.8244 0.8758
Pb 5.5377 1.8803 1.0941
Pb 9.1820 1.8803 9.7615
Pb 3.5436 -1.0008 3.1801
Pb 7.4469 -0.9316 3.2628
Pb 7.2728 -0.9316 7.5928
Pb 11.1761 -1.0008 7.6755
Br 5.6176 1.7932 8.5728
Br 9.1021 1.7932 2.2828
Br 3.7039 -0.9188 6.5707
Br 11.0158 -0.9188 4.2849
O 0.0906 0.4284 7.3747
O 3.4046 0.6969 1.1855
O 2.1355 0.5556 9.6367
O 5.6282 0.6390 3.4261
O 7.3598 0.7099 5.4278
O 6.5886 -0.5436 0.9907
O 9.0915 0.6390 7.4294
O 12.5841 0.5556 1.2189
O 11.3151 0.6969 9.6700
O 8.1310 -0.5436 9.8649
O 14.6291 0.4284 3.4809
O 7.3598 -2.6725 5.4278
```

Summary:
VASP energy in eV/atom: -4.835
Total moment in μB/atom: 0.000

---

# MgTe4Pb6Br4O12

A geometry-optimized MgTe4Pb6Br4O12 structure (GGA-PBE, Materials Project).

```
27
Lattice="5.7967 0.0000 0.0000 -2.7453 9.0995 0.0000 -0.1598 -3.2780 11.6877" Properties=species:S:1:pos:R:3 pbc="T T T"
Mg 0.0000 0.0000 0.0000
Te 0.2358 2.2958 5.3508
Te 0.4333 6.8415 7.5399
Te 3.1877 1.3586 11.2667
Te 3.3398 7.0249 1.8583
Pb 0.3196 -1.1453 5.2953
Pb 0.3312 -0.6177 9.5987
Pb 0.2877 3.1423 10.0669
Pb 0.4417 5.9023 3.5855
Pb 3.1429 0.6200 3.1673
Pb 3.3323 1.3118 7.5971
Br 0.3691 2.1061 1.4386
Br 3.1034 -2.7944 11.3123
Br 3.1419 4.5014 5.0490
Br 3.2505 5.0841 9.2477
O -1.2675 1.2020 9.7243
O -1.1471 6.0266 0.1085
O 0.0817 2.2556 7.2148
O -1.0004 7.7458 3.1920
O 1.8060 -0.9647 7.7487
O 1.6351 0.9963 5.1259
O 0.3546 6.8973 5.6601
O 1.8893 1.2298 9.7259
O 2.0226 6.0046 0.1666
O 1.8456 7.6906 3.1529
O 4.5461 -0.9372 7.7171
O 4.6908 0.9526 5.0404
```

Summary:
VASP energy in eV/atom: -4.889
Total moment in μB/atom: 0.001

---

# MgTl2Pb16Br18O8

A geometry-optimized MgTl2Pb16Br18O8 structure (GGA-PBE, Materials Project).

```
45
Lattice="12.6109 0.0000 0.0000 0.0000 12.6109 0.0000 0.0000 0.0000 8.4456" Properties=species:S:1:pos:R:3 pbc="T T T"
Mg 0.0000 0.0000 0.0000
Tl 0.0000 0.0000 4.7480
Tl 6.3055 6.3055 1.8989
Pb 0.7024 8.0251 4.5415
Pb 1.0666 9.2244 0.5847
Pb 1.7234 5.6078 2.0914
Pb 2.9211 5.2458 6.0396
Pb 3.3865 1.0666 0.5847
Pb 4.5859 0.7024 4.5415
Pb 5.2458 9.6898 6.0396
Pb 5.6078 10.8875 2.0914
Pb 7.0031 1.7234 2.0914
Pb 7.3651 2.9211 6.0396
Pb 8.0251 11.9085 4.5415
Pb 9.2244 11.5443 0.5847
Pb 9.6898 7.3651 6.0396
Pb 10.8875 7.0031 2.0914
Pb 11.5443 3.3865 0.5847
Pb 11.9085 4.5859 4.5415
Br 0.0000 6.3055 7.5419
Br 1.4858 2.6860 6.5665
Br 1.5195 2.3019 2.4992
Br 2.3019 11.0914 2.4992
Br 2.6860 11.1251 6.5665
Br 3.6316 7.7813 0.0556
Br 4.0101 7.8184 4.1557
Br 4.7925 4.0101 4.1557
Br 4.8296 3.6316 0.0556
Br 6.3055 0.0000 7.5419
Br 7.7813 8.9793 0.0556
Br 7.8184 8.6008 4.1557
Br 8.6008 4.7925 4.1557
Br 8.9793 4.8296 0.0556
Br 9.9249 1.4858 6.5665
Br 10.3090 1.5195 2.4992
Br 11.0914 10.3090 2.4992
Br 11.1251 9.9249 6.5665
O 0.5790 7.6713 2.2357
O 1.3646 5.7255 4.3965
O 4.9396 0.5790 2.2357
O 5.7255 11.2463 4.3965
O 6.8854 1.3646 4.3965
O 7.6713 12.0319 2.2357
O 11.2463 6.8854 4.3965
O 12.0319 4.9396 2.2357
```

Summary:
VASP energy in eV/atom: -4.000
Total moment in μB/atom: 0.000

---

# MgTl2Pb16Br18O8

A geometry-optimized MgTl2Pb16Br18O8 structure (GGA-PBE, Materials Project).

```
45
Lattice="8.4830 0.0000 0.0000 -0.0953 12.6014 0.0000 -0.3638 -0.0893 12.7966" Properties=species:S:1:pos:R:3 pbc="T T T"
Mg 0.0000 0.0000 0.0000
Tl 4.1693 1.3366 8.4214
Tl 7.1175 7.6371 2.0148
Pb -0.0840 2.5079 5.1457
Pb -0.1951 4.7845 9.5018
Pb -0.1488 10.6137 7.3677
Pb 0.2590 0.9212 10.1491
Pb 2.8474 11.1233 3.2882
Pb 2.8637 6.6572 5.5153
Pb 3.1476 4.2949 0.9153
Pb 2.8280 8.6516 11.3603
Pb 4.6120 0.5860 0.4254
Pb 4.5071 2.2044 3.7870
Pb 4.3514 5.9689 9.1001
Pb 4.4038 9.4409 7.7455
Pb 6.7541 12.2140 3.0614
Pb 6.8301 6.9866 6.7012
Pb 7.1015 2.9561 1.3959
Pb 6.8174 8.4056 10.1473
Br 0.3958 5.0009 3.5844
Br 0.3926 9.2032 4.8041
Br 0.3013 6.1794 12.0880
Br 0.6054 10.2317 0.7268
Br 1.5037 1.3315 1.9776
Br 1.3498 7.6271 8.4125
Br 2.3889 -0.0099 5.7782
Br 2.2350 11.2201 9.8737
Br 2.3942 4.0906 6.9014
Br 2.4923 2.9049 11.0276
Br 4.7104 5.4757 3.5260
Br 4.7824 9.2574 4.4512
Br 4.9007 9.9701 0.6070
Br 4.6054 6.1038 12.4706
Br 6.2059 11.6060 9.9588
Br 6.4174 3.7044 6.9058
Br 6.4197 12.5141 6.2059
Br 6.4156 2.9421 10.8197
O 4.6122 0.0457 2.7716
O 4.5244 7.1239 7.0561
O 4.7481 2.7412 1.4772
O 4.5030 8.2625 9.8216
O 6.8668 0.6511 0.8961
O 6.8089 1.9687 3.5433
O 6.6593 6.3343 9.0086
O 6.6993 9.0396 7.8418
```

Summary:
VASP energy in eV/atom: -4.030
Total moment in μB/atom: 0.000

---

# MgTl2Pb16Br18O8

A geometry-optimized MgTl2Pb16Br18O8 structure (GGA-PBE, Materials Project).

```
45
Lattice="8.4653 0.0000 0.0000 0.1444 12.6304 0.0000 0.0900 0.4701 12.9513" Properties=species:S:1:pos:R:3 pbc="T T T"
Mg 0.0000 0.0000 0.0000
Tl 3.8519 2.6551 9.1760
Tl 6.4975 8.3993 2.8107
Pb 2.3507 5.2217 3.9794
Pb 2.4642 9.7073 6.3008
Pb 2.5425 7.7749 12.2194
Pb 2.5232 11.8241 1.9853
Pb 3.7583 2.9362 1.1829
Pb 3.8574 1.6079 4.5990
Pb 3.9584 6.9882 8.5839
Pb 4.0243 10.4817 9.9285
Pb 6.3548 9.3503 7.3890
Pb 6.2860 4.0464 3.5027
Pb 6.3213 0.5033 2.2602
Pb 6.4724 8.0337 10.9065
Pb 7.7879 3.1779 0.0479
Pb 7.9163 5.7821 8.1651
Pb 8.0052 11.5945 9.8649
Pb 7.8984 1.3794 5.7540
Br 0.8464 2.6278 3.1546
Br 0.9769 8.7648 9.2148
Br 1.9423 5.2213 10.8319
Br 2.0181 12.3292 7.6215
Br 1.9584 3.9037 6.6462
Br 2.1144 0.9247 11.4356
Br 4.2345 9.9527 0.3612
Br 4.3265 7.1877 5.1850
Br 4.2948 6.2054 1.2482
Br 4.4160 10.9177 4.4500
Br 6.0861 4.7549 10.7321
Br 6.1545 12.7242 7.6796
Br 6.1244 3.9039 6.8348
Br 6.2871 0.9200 11.5358
Br 8.4186 7.2235 5.5785
Br 8.5015 10.4715 12.7814
Br 8.4733 5.9459 1.4184
Br 8.5627 11.4259 4.2229
O 3.8264 0.9148 2.3280
O 3.9885 3.6623 3.4446
O 4.0889 9.2846 7.8703
O 4.1680 8.1795 10.6205
O 6.0531 2.8001 1.4796
O 6.3112 10.0793 9.7003
O 6.2738 7.3476 8.6207
O 6.1934 1.7591 4.2398
```

Summary:
VASP energy in eV/atom: -4.004
Total moment in μB/atom: 0.000